# 1
Entry from Materials Project: LiTiO2 after structural relaxation (PBE).

abc: 2.877 2.877 10.229
angles: 90.00 90.00 120.00
Sites, in units of the cell vectors:
Li: 0.000 0.000 0.000
Li: 0.000 0.000 0.500
Ti: 0.333 0.667 0.250
Ti: 0.667 0.333 0.750
O: 0.333 0.667 0.629
O: 0.333 0.667 0.871
O: 0.667 0.333 0.129
O: 0.667 0.333 0.371

Summary:
The symmetry is P6_3/mmc.


# 2
Entry from Materials Project: NiSbS after structural relaxation (PBE).

abc: 5.934 5.934 5.934
angles: 90.00 90.00 90.00
Sites, in units of the cell vectors:
Ni: 0.020 0.020 0.020
Ni: 0.480 0.980 0.520
Ni: 0.520 0.480 0.980
Ni: 0.980 0.520 0.480
Sb: 0.132 0.632 0.868
Sb: 0.368 0.368 0.368
Sb: 0.632 0.868 0.132
Sb: 0.868 0.132 0.632
S: 0.119 0.881 0.381
S: 0.381 0.119 0.881
S: 0.619 0.619 0.619
S: 0.881 0.381 0.119

Summary:
The symmetry is P2_13.


# 3
Entry from Materials Project: TbCd2 after structural relaxation (PBE).

abc: 4.993 4.993 3.462
angles: 90.00 90.00 120.00
Sites, in units of the cell vectors:
Tb: 0.000 0.000 0.000
Cd: 0.333 0.667 0.500
Cd: 0.667 0.333 0.500

Summary:
The symmetry is P6/mmm.


no.,formation energy from the elements (eV/atom)
1,-2.950
2,-0.483
3,-0.318